Record 1
Density functional theory data (PBE) for an optimized crystal structure of Pr2USe5.

Properties
Crystal system: orthorhombic
Raw total energy, eV/atom: -6.43
Calculated formation energy, eV per atom: -1.936

a b c (Å): 7.8937 8.4825 12.4613
angles (deg): 90.00 90.00 90.00
Closest atoms and distances in Å follow each position.
Atoms (fractional coordinates):
U: 0.4260 0.7500 0.9905  7 Se 2.80-3.02
U: 0.5740 0.2500 0.0095  7 Se 2.80-3.02
U: 0.9260 0.2500 0.5095  7 Se 2.80-3.02
U: 0.0740 0.7500 0.4905  7 Se 2.80-3.02
Se: 0.8331 0.5448 0.5916  2 U 2.80-2.87, 2 Pr 3.08-3.10
Se: 0.3331 0.4552 0.9084  2 U 2.80-2.87, 2 Pr 3.08-3.10
Se: 0.9569 0.2500 0.0001  1 U 3.02, 4 Pr 3.06-3.13
Se: 0.3331 0.0448 0.9084  2 U 2.80-2.87, 2 Pr 3.08-3.10
Se: 0.6928 0.2500 0.7840  1 U 2.96, 4 Pr 3.06-3.08
Se: 0.5431 0.2500 0.5001  1 U 3.02, 4 Pr 3.06-3.13
Se: 0.8072 0.2500 0.2840  1 U 2.96, 4 Pr 3.06-3.08
Se: 0.1669 0.0448 0.4084  2 U 2.80-2.87, 2 Pr 3.08-3.10
Se: 0.4569 0.7500 0.4999  1 U 3.02, 4 Pr 3.06-3.13
Se: 0.0431 0.7500 0.9999  1 U 3.02, 4 Pr 3.06-3.13
Se: 0.6669 0.5448 0.0916  2 U 2.80-2.87, 2 Pr 3.08-3.10
Se: 0.8331 0.9552 0.5916  2 U 2.80-2.87, 2 Pr 3.08-3.10
Se: 0.3328 0.2500 0.1864  1 U 2.91, 4 Pr 3.12-3.21
Se: 0.1672 0.2500 0.6864  1 U 2.91, 4 Pr 3.12-3.21
Se: 0.1928 0.7500 0.7160  1 U 2.96, 4 Pr 3.06-3.08
Se: 0.1669 0.4552 0.4084  2 U 2.80-2.87, 2 Pr 3.08-3.10
Se: 0.3072 0.7500 0.2160  1 U 2.96, 4 Pr 3.06-3.08
Se: 0.6672 0.7500 0.8136  1 U 2.91, 4 Pr 3.12-3.21
Se: 0.6669 0.9552 0.0916  2 U 2.80-2.87, 2 Pr 3.08-3.10
Se: 0.8328 0.7500 0.3136  1 U 2.91, 4 Pr 3.12-3.21
Pr: 0.9709 0.4986 0.8222  8 Se 3.06-3.21
Pr: 0.0291 0.5014 0.1778  8 Se 3.06-3.21
Pr: 0.4709 0.5014 0.6778  8 Se 3.06-3.21
Pr: 0.9709 0.0014 0.8222  8 Se 3.06-3.21
Pr: 0.4709 0.9986 0.6778  8 Se 3.06-3.21
Pr: 0.5291 0.0014 0.3222  8 Se 3.06-3.21
Pr: 0.5291 0.4986 0.3222  8 Se 3.06-3.21
Pr: 0.0291 0.9986 0.1778  8 Se 3.06-3.21

Record 2
Density functional theory data (PBE) for an optimized crystal structure of Pr2ZrSe5.

Properties
Crystal system: orthorhombic
Raw total energy, eV/atom: -6.14
Calculated formation energy, eV per atom: -1.987

a b c (Å): 7.7830 8.4623 12.1762
angles (deg): 90.00 90.00 90.00
Closest atoms and distances in Å follow each position.
Atoms (fractional coordinates):
Pr: 0.0455 0.4975 0.6753  8 Se 3.03-3.18
Pr: 0.4545 0.0025 0.1753  8 Se 3.03-3.18
Pr: 0.4545 0.4975 0.1753  8 Se 3.03-3.18
Pr: 0.0455 0.0025 0.6753  8 Se 3.03-3.18
Pr: 0.5455 0.9975 0.8247  8 Se 3.03-3.18
Pr: 0.5455 0.5025 0.8247  8 Se 3.03-3.18
Pr: 0.9545 0.5025 0.3247  8 Se 3.03-3.18
Pr: 0.9545 0.9975 0.3247  8 Se 3.03-3.18
Zr: 0.5781 0.7500 0.5092  7 Se 2.68-2.87
Zr: 0.9219 0.7500 0.0092  7 Se 2.68-2.87
Zr: 0.0781 0.2500 0.9908  7 Se 2.68-2.87
Zr: 0.4219 0.2500 0.4908  7 Se 2.68-2.87
Se: 0.9450 0.7500 0.5043  1 Zr 2.86, 4 Pr 3.03-3.08
Se: 0.6707 0.7500 0.2915  1 Zr 2.75, 4 Pr 3.07
Se: 0.3479 0.7500 0.6870  1 Zr 2.81, 2 Pr 3.09
Se: 0.8293 0.7500 0.7915  1 Zr 2.75, 4 Pr 3.07
Se: 0.8283 0.4631 0.0806  2 Zr 2.68-2.87
Se: 0.1717 0.5369 0.9194  2 Zr 2.68-2.87
Se: 0.0550 0.2500 0.4957  1 Zr 2.86, 4 Pr 3.03-3.08
Se: 0.3293 0.2500 0.7085  1 Zr 2.75, 4 Pr 3.07
Se: 0.8283 0.0369 0.0806  2 Zr 2.68-2.87
Se: 0.1717 0.9631 0.9194  2 Zr 2.68-2.87
Se: 0.6717 0.0369 0.5806  2 Zr 2.68-2.87
Se: 0.6521 0.2500 0.3130  1 Zr 2.81, 2 Pr 3.09
Se: 0.4450 0.2500 0.9957  1 Zr 2.86, 4 Pr 3.03-3.08
Se: 0.3283 0.9631 0.4194  2 Zr 2.68-2.87
Se: 0.8479 0.2500 0.8130  1 Zr 2.81, 2 Pr 3.09
Se: 0.1707 0.2500 0.2085  1 Zr 2.75, 4 Pr 3.07
Se: 0.1521 0.7500 0.1870  1 Zr 2.81, 2 Pr 3.09
Se: 0.6717 0.4631 0.5806  2 Zr 2.68-2.87
Se: 0.3283 0.5369 0.4194  2 Zr 2.68-2.87
Se: 0.5550 0.7500 0.0043  1 Zr 2.86, 4 Pr 3.03-3.08

Record 3
Density functional theory data (PBE) for an optimized crystal structure of Pr5Si4.

Properties
Crystal system: tetragonal
Raw total energy, eV/atom: -5.73
Calculated formation energy, eV per atom: -0.635

a b c (Å): 7.9614 7.9614 15.2346
angles (deg): 90.00 90.00 90.00
Closest atoms and distances in Å follow each position.
Atoms (fractional coordinates):
Pr: 0.1276 0.9822 0.8757  6 Si 2.99-3.14
Pr: 0.6276 0.5178 0.8743  6 Si 2.99-3.14
Pr: 0.3098 0.3098 0.0000  6 Si 3.15-3.21
Pr: 0.4893 0.8758 0.6990  6 Si 3.18-3.37
Pr: 0.0107 0.3758 0.5510  6 Si 3.18-3.37
Pr: 0.4822 0.3724 0.6257  6 Si 2.99-3.14
Pr: 0.3724 0.4822 0.3743  6 Si 2.99-3.14
Pr: 0.8724 0.0178 0.3757  6 Si 2.99-3.14
Pr: 0.5107 0.1242 0.1990  6 Si 3.18-3.37
Pr: 0.3758 0.0107 0.4490  6 Si 3.18-3.37
Pr: 0.9822 0.1276 0.1243  6 Si 2.99-3.14
Pr: 0.5178 0.6276 0.1257  6 Si 2.99-3.14
Pr: 0.6242 0.9893 0.9490  6 Si 3.18-3.37
Pr: 0.8098 0.1902 0.7500  6 Si 3.15-3.21
Pr: 0.1902 0.8098 0.2500  6 Si 3.15-3.21
Pr: 0.1242 0.5107 0.8010  6 Si 3.18-3.37
Pr: 0.8758 0.4893 0.3010  6 Si 3.18-3.37
Pr: 0.9893 0.6242 0.0510  6 Si 3.18-3.37
Pr: 0.6902 0.6902 0.5000  6 Si 3.15-3.21
Pr: 0.0178 0.8724 0.6243  6 Si 2.99-3.14
Si: 0.3028 0.6678 0.5496  1 Si 2.47
Si: 0.5770 0.7892 0.3091  1 Si 2.47
Si: 0.4230 0.2108 0.8091  1 Si 2.47
Si: 0.6678 0.3028 0.4504  1 Si 2.47
Si: 0.9230 0.2892 0.9409  1 Si 2.47
Si: 0.7892 0.5770 0.6909  1 Si 2.47
Si: 0.1678 0.1972 0.2996  1 Si 2.47
Si: 0.6972 0.3322 0.0496  1 Si 2.47
Si: 0.3322 0.6972 0.9504  1 Si 2.47
Si: 0.1972 0.1678 0.7004  1 Si 2.47
Si: 0.2108 0.4230 0.1909  1 Si 2.47
Si: 0.0770 0.7108 0.4409  1 Si 2.47
Si: 0.2892 0.9230 0.0591  1 Si 2.47
Si: 0.7108 0.0770 0.5591  1 Si 2.47
Si: 0.8322 0.8028 0.7996  1 Si 2.47
Si: 0.8028 0.8322 0.2004  1 Si 2.47

Record 4
Density functional theory data (PBE) for an optimized crystal structure of Pr2Si3.

Properties
Crystal system: orthorhombic
Raw total energy, eV/atom: -5.77
Calculated formation energy, eV per atom: -0.564

a b c (Å): 7.7063 7.7063 7.7063
angles (deg): 150.16 147.97 44.35
Closest atoms and distances in Å follow each position.
Atoms (fractional coordinates):
Si: 0.2984 0.7984 0.5000  3 Si 2.35-2.41
Si: 0.4628 0.9628 0.5000  1 Si 2.35
Si: 0.2030 0.2030 0.0000  2 Si 2.41
Pr: 0.8734 0.3734 0.5000  10 Si 3.10-3.23
Pr: 0.6264 0.6264 0.0000  8 Si 3.06-3.25

Record 5
Density functional theory data (PBE) for an optimized crystal structure of PrSi2.

Properties
Crystal system: tetragonal
Raw total energy, eV/atom: -5.81
Calculated formation energy, eV per atom: -0.555

a b c (Å): 7.6875 7.6875 7.6875
angles (deg): 148.06 148.06 45.79
Closest atoms and distances in Å follow each position.
Atoms (fractional coordinates):
Pr: 0.7500 0.2500 0.5000  12 Si 3.16-3.22
Pr: 0.0000 0.0000 0.0000  12 Si 3.16-3.22
Si: 0.1662 0.6662 0.5000  3 Si 2.37-2.42
Si: 0.3338 0.8338 0.5000  3 Si 2.37-2.42
Si: 0.4162 0.4162 0.0000  3 Si 2.37-2.42
Si: 0.5838 0.5838 0.0000  3 Si 2.37-2.42

Record 6
Density functional theory data (PBE) for an optimized crystal structure of Pr3Sm.

Properties
Crystal system: cubic
Raw total energy, eV/atom: -4.75
Calculated formation energy, eV per atom: 0.011

a b c (Å): 5.2418 5.2418 5.2418
angles (deg): 90.00 90.00 90.00
Closest atoms and distances in Å follow each position.
Atoms (fractional coordinates):
Pr: 0.5000 0.5000 0.0000  8 Pr 3.71, 4 Sm 3.71
Pr: 0.5000 0.0000 0.5000  8 Pr 3.71, 4 Sm 3.71
Pr: 0.0000 0.5000 0.5000  8 Pr 3.71, 4 Sm 3.71
Sm: 0.0000 0.0000 0.0000  12 Pr 3.71

Record 7
Density functional theory data (PBE) for an optimized crystal structure of PrSm3.

Properties
Crystal system: hexagonal
Raw total energy, eV/atom: -4.70
Calculated formation energy, eV per atom: 0.029

a b c (Å): 7.3348 7.3348 6.0044
angles (deg): 90.00 90.00 120.00
Closest atoms and distances in Å follow each position.
Atoms (fractional coordinates):
Pr: 0.3333 0.6667 0.7500  12 Sm 3.67-3.68
Pr: 0.6667 0.3333 0.2500  12 Sm 3.67-3.68
Sm: 0.1661 0.3321 0.2500  8 Sm 3.65-3.68, 4 Pr 3.67-3.68
Sm: 0.8339 0.1661 0.7500  8 Sm 3.65-3.68, 4 Pr 3.67-3.68
Sm: 0.8339 0.6679 0.7500  8 Sm 3.65-3.68, 4 Pr 3.67-3.68
Sm: 0.3321 0.1661 0.7500  8 Sm 3.65-3.68, 4 Pr 3.67-3.68
Sm: 0.6679 0.8339 0.2500  8 Sm 3.65-3.68, 4 Pr 3.67-3.68
Sm: 0.1661 0.8339 0.2500  8 Sm 3.65-3.68, 4 Pr 3.67-3.68

Record 8
Density functional theory data (PBE) for an optimized crystal structure of PrSm3.

Properties
Crystal system: tetragonal
Raw total energy, eV/atom: -4.72
Calculated formation energy, eV per atom: 0.015

a b c (Å): 6.3149 6.3149 6.3149
angles (deg): 131.87 131.87 70.43
Closest atoms and distances in Å follow each position.
Atoms (fractional coordinates):
Pr: 0.0000 0.0000 0.0000  12 Sm 3.64
Sm: 0.2500 0.7500 0.5000  8 Sm 3.64, 4 Pr 3.64
Sm: 0.5000 0.5000 0.0000  4 Pr 3.64, 8 Sm 3.64
Sm: 0.7500 0.2500 0.5000  8 Sm 3.64, 4 Pr 3.64

Record 9
Density functional theory data (PBE) for an optimized crystal structure of PrSm3.

Properties
Crystal system: cubic
Raw total energy, eV/atom: -4.72
Calculated formation energy, eV per atom: 0.011

a b c (Å): 5.1698 5.1698 5.1698
angles (deg): 90.00 90.00 90.00
Closest atoms and distances in Å follow each position.
Atoms (fractional coordinates):
Pr: 0.0000 0.0000 0.0000  12 Sm 3.66
Sm: 0.0000 0.5000 0.5000  4 Pr 3.66, 8 Sm 3.66
Sm: 0.5000 0.5000 0.0000  4 Pr 3.66, 8 Sm 3.66
Sm: 0.5000 0.0000 0.5000  4 Pr 3.66, 8 Sm 3.66

Record 10
Density functional theory data (PBE) for an optimized crystal structure of Pr3Sm.

Properties
Crystal system: tetragonal
Raw total energy, eV/atom: -4.75
Calculated formation energy, eV per atom: 0.015

a b c (Å): 6.4238 6.4238 6.4238
angles (deg): 132.07 132.07 70.11
Closest atoms and distances in Å follow each position.
Atoms (fractional coordinates):
Pr: 0.5000 0.5000 0.0000  4 Sm 3.69, 8 Pr 3.70
Pr: 0.7500 0.2500 0.5000  8 Pr 3.69-3.70, 4 Sm 3.70
Pr: 0.2500 0.7500 0.5000  8 Pr 3.69-3.70, 4 Sm 3.70
Sm: 0.0000 0.0000 0.0000  12 Pr 3.69-3.70

Record 11
Density functional theory data (PBE) for an optimized crystal structure of PrSmTl2.

Properties
Crystal system: cubic
Raw total energy, eV/atom: -3.94
Calculated formation energy, eV per atom: -0.388

a b c (Å): 5.5260 5.5260 5.5260
angles (deg): 60.00 60.00 60.00
Closest atoms and distances in Å follow each position.
Atoms (fractional coordinates):
Tl: 0.7500 0.7500 0.7500  4 Pr 3.38, 4 Sm 3.38
Tl: 0.2500 0.2500 0.2500  4 Pr 3.38, 4 Sm 3.38
Pr: 0.5000 0.5000 0.5000  8 Tl 3.38
Sm: 0.0000 0.0000 0.0000  8 Tl 3.38

Record 12
Density functional theory data (PBE) for an optimized crystal structure of Pr2Sn3.

Properties
Crystal system: triclinic
Raw total energy, eV/atom: -5.02
Calculated formation energy, eV per atom: -0.707

a b c (Å): 6.4964 8.6094 11.2908
angles (deg): 107.36 96.80 100.24
Closest atoms and distances in Å follow each position.
Atoms (fractional coordinates):
Sn: 0.5627 0.8312 0.9489  2 Sn 3.05-3.08, 4 Pr 3.24-3.32
Sn: 0.9514 0.6467 0.6210  3 Sn 3.08-3.33, 5 Pr 3.33-3.43
Sn: 0.8226 0.9627 0.7768  3 Sn 2.98-3.08, 1 Pr 3.29
Sn: 0.2224 0.4059 0.8644  2 Sn 2.97-2.98, 2 Pr 3.16-3.28
Sn: 0.7776 0.5941 0.1356  2 Sn 2.97-2.98, 2 Pr 3.16-3.28
Sn: 0.0486 0.3533 0.3790  3 Sn 3.08-3.33, 5 Pr 3.33-3.43
Sn: 0.4373 0.1688 0.0511  2 Sn 3.05-3.08, 4 Pr 3.24-3.32
Sn: 0.3237 0.6020 0.1389  2 Sn 2.97-2.98, 3 Pr 3.21-3.31
Sn: 0.6438 0.8344 0.5015  2 Sn 2.98-3.20, 2 Pr 3.32-3.33
Sn: 0.6763 0.3980 0.8611  2 Sn 2.97-2.98, 3 Pr 3.21-3.31
Sn: 0.1774 0.0373 0.2232  3 Sn 2.98-3.08, 1 Pr 3.29
Sn: 0.3562 0.1656 0.4985  2 Sn 2.98-3.20, 2 Pr 3.32-3.33
Pr: 0.8744 0.2461 0.6159  7 Sn 3.16-3.45
Pr: 0.0420 0.7487 0.9436  9 Sn 3.28-3.43
Pr: 0.5575 0.4302 0.3361  9 Sn 3.24-3.63
Pr: 0.4425 0.5698 0.6639  9 Sn 3.24-3.63
Pr: 0.6682 0.9677 0.2555  8 Sn 3.25-3.61
Pr: 0.9580 0.2513 0.0564  9 Sn 3.28-3.43
Pr: 0.3318 0.0323 0.7445  8 Sn 3.25-3.61
Pr: 0.1256 0.7539 0.3841  7 Sn 3.16-3.45